Entry i
KLaCO4: relaxed, PBE-GGA.

Results
* SG: No. 59

a = 3.6861 Å, b = 4.7606 Å, c = 12.1964 Å
α = 90.00°, β = 90.00°, γ = 90.00°
Atoms (fractional coordinates):
K (0.2500, 0.2500, 0.1058)
K (0.7500, 0.7500, 0.8942)
La (0.2500, 0.2500, 0.4022)
La (0.7500, 0.7500, 0.5978)
C (0.2500, 0.2500, 0.7850)
C (0.7500, 0.7500, 0.2150)
O (0.2500, 0.0129, 0.7325)
O (0.2500, 0.2500, 0.8920)
O (0.2500, 0.4871, 0.7325)
O (0.2500, 0.7500, 0.4858)
O (0.7500, 0.2500, 0.5142)
O (0.7500, 0.5129, 0.2675)
O (0.7500, 0.7500, 0.1080)
O (0.7500, 0.9871, 0.2675)

Entry ii
KLaCO4: relaxed, PBE-GGA.

Results
* SG: No. 54

a = 5.9589 Å, b = 16.6651 Å, c = 5.9284 Å
α = 90.00°, β = 90.00°, γ = 90.00°
Atoms (fractional coordinates):
K (0.0000, 0.0764, 0.2500)
K (0.0000, 0.9236, 0.7500)
K (0.5000, 0.0764, 0.7500)
K (0.5000, 0.9236, 0.2500)
La (0.0000, 0.4278, 0.2500)
La (0.0000, 0.5722, 0.7500)
La (0.5000, 0.4278, 0.7500)
La (0.5000, 0.5722, 0.2500)
C (0.0000, 0.2631, 0.2500)
C (0.0000, 0.7369, 0.7500)
C (0.5000, 0.2631, 0.7500)
C (0.5000, 0.7369, 0.2500)
O (0.0000, 0.0769, 0.7500)
O (0.0000, 0.9231, 0.2500)
O (0.1247, 0.2955, 0.1104)
O (0.1247, 0.7045, 0.6103)
O (0.2500, 0.5000, 0.4903)
O (0.2500, 0.5000, 0.9903)
O (0.3753, 0.2955, 0.6103)
O (0.3753, 0.7045, 0.1104)
O (0.5000, 0.0769, 0.2500)
O (0.5000, 0.9231, 0.7500)
O (0.6247, 0.2955, 0.8896)
O (0.6247, 0.7045, 0.3896)
O (0.7500, 0.5000, 0.0097)
O (0.7500, 0.5000, 0.5097)
O (0.8753, 0.2955, 0.3896)
O (0.8753, 0.7045, 0.8896)

The most stable arrangement is entry i, and the next structure is 78.3 kJ/mol of atoms less stable.

Entry i
KC2N3: relaxed, PBE-GGA.

Results
* SG: No. 57

a = 8.4438 Å, b = 6.6326 Å, c = 7.4317 Å
α = 90.00°, β = 90.00°, γ = 90.00°
Atoms (fractional coordinates):
K (0.1821, 0.2500, 0.0000)
K (0.1821, 0.2500, 0.5000)
K (0.8179, 0.7500, 0.0000)
K (0.8179, 0.7500, 0.5000)
C (0.1806, 0.7354, 0.2500)
C (0.1806, 0.7646, 0.7500)
C (0.4368, 0.6433, 0.7500)
C (0.4368, 0.8567, 0.2500)
C (0.5632, 0.1433, 0.7500)
C (0.5632, 0.3567, 0.2500)
C (0.8194, 0.2354, 0.2500)
C (0.8194, 0.2646, 0.7500)
N (0.0749, 0.6175, 0.2500)
N (0.0749, 0.8825, 0.7500)
N (0.2834, 0.6193, 0.7500)
N (0.2834, 0.8807, 0.2500)
N (0.4235, 0.1452, 0.7500)
N (0.4235, 0.3548, 0.2500)
N (0.5765, 0.6452, 0.7500)
N (0.5765, 0.8548, 0.2500)
N (0.7166, 0.1193, 0.7500)
N (0.7166, 0.3807, 0.2500)
N (0.9251, 0.1175, 0.2500)
N (0.9251, 0.3825, 0.7500)

Entry ii
KC2N3: relaxed, PBE-GGA.

Results
* SG: No. 14

a = 3.9029 Å, b = 16.2776 Å, c = 6.9134 Å
α = 90.00°, β = 99.43°, γ = 90.00°
Atoms (fractional coordinates):
K (0.1570, 0.0960, 0.3251)
K (0.1570, 0.4040, 0.8251)
K (0.8430, 0.5960, 0.1749)
K (0.8430, 0.9040, 0.6749)
C (0.3709, 0.7151, 0.5418)
C (0.3709, 0.7849, 0.0418)
C (0.4514, 0.0870, 0.8444)
C (0.4514, 0.4130, 0.3444)
C (0.5486, 0.5870, 0.6556)
C (0.5486, 0.9130, 0.1556)
C (0.6291, 0.2151, 0.9582)
C (0.6291, 0.2849, 0.4582)
N (0.3045, 0.7147, 0.0546)
N (0.3045, 0.7853, 0.5546)
N (0.3477, 0.0366, 0.7259)
N (0.3477, 0.4634, 0.2259)
N (0.4361, 0.6376, 0.5133)
N (0.4361, 0.8624, 0.0133)
N (0.5639, 0.1376, 0.9867)
N (0.5639, 0.3624, 0.4867)
N (0.6523, 0.5366, 0.7741)
N (0.6523, 0.9634, 0.2741)
N (0.6955, 0.2147, 0.4454)
N (0.6955, 0.2853, 0.9454)

Entry iii
KC2N3: relaxed, PBE-GGA.

Results
* SG: No. 14

a = 3.8742 Å, b = 12.1367 Å, c = 24.8452 Å
α = 90.00°, β = 96.85°, γ = 90.00°
Atoms (fractional coordinates):
K (0.0785, 0.1506, 0.0125)
K (0.0785, 0.3494, 0.5125)
K (0.1350, 0.5872, 0.1007)
K (0.1350, 0.9128, 0.6007)
K (0.3859, 0.0029, 0.2412)
K (0.3859, 0.4971, 0.7412)
K (0.6141, 0.5029, 0.2588)
K (0.6141, 0.9971, 0.7588)
K (0.8650, 0.0872, 0.3993)
K (0.8650, 0.4128, 0.8993)
K (0.9215, 0.6506, 0.4875)
K (0.9215, 0.8494, 0.9875)
C (0.0375, 0.7156, 0.7938)
C (0.0375, 0.7844, 0.2938)
C (0.2108, 0.2479, 0.2923)
C (0.2108, 0.2521, 0.7923)
C (0.2222, 0.6439, 0.3519)
C (0.2222, 0.8561, 0.8519)
C (0.2664, 0.6764, 0.8806)
C (0.2664, 0.8236, 0.3806)
C (0.4134, 0.0080, 0.9033)
C (0.4134, 0.4920, 0.4033)
C (0.4729, 0.6293, 0.9684)
C (0.4729, 0.8707, 0.4684)
C (0.5271, 0.1293, 0.5316)
C (0.5271, 0.3707, 0.0316)
C (0.5866, 0.5080, 0.5967)
C (0.5866, 0.9920, 0.0967)
C (0.7336, 0.1764, 0.6194)
C (0.7336, 0.3236, 0.1194)
C (0.7778, 0.1439, 0.1481)
C (0.7778, 0.3561, 0.6481)
C (0.7892, 0.7479, 0.2077)
C (0.7892, 0.7521, 0.7077)
C (0.9625, 0.2156, 0.7062)
C (0.9625, 0.2844, 0.2062)
N (0.0815, 0.6746, 0.3017)
N (0.0815, 0.8254, 0.8017)
N (0.1107, 0.1784, 0.7556)
N (0.1107, 0.3216, 0.2556)
N (0.1334, 0.6372, 0.8315)
N (0.1334, 0.8628, 0.3315)
N (0.2724, 0.5332, 0.3580)
N (0.2724, 0.9668, 0.8580)
N (0.3115, 0.7150, 0.3935)
N (0.3115, 0.7850, 0.8935)
N (0.3142, 0.1859, 0.3275)
N (0.3142, 0.3141, 0.8275)
N (0.3580, 0.5982, 0.9196)
N (0.3580, 0.9018, 0.4196)
N (0.4199, 0.1494, 0.4858)
N (0.4199, 0.3506, 0.9858)
N (0.4580, 0.5545, 0.5572)
N (0.4580, 0.9455, 0.0572)
N (0.5420, 0.0545, 0.9428)
N (0.5420, 0.4455, 0.4428)
N (0.5801, 0.6494, 0.0142)
N (0.5801, 0.8506, 0.5142)
N (0.6420, 0.0982, 0.5804)
N (0.6420, 0.4018, 0.0804)
N (0.6858, 0.6859, 0.1725)
N (0.6858, 0.8141, 0.6725)
N (0.6885, 0.2150, 0.1065)
N (0.6885, 0.2850, 0.6065)
N (0.7276, 0.0332, 0.1420)
N (0.7276, 0.4668, 0.6420)
N (0.8666, 0.1372, 0.6685)
N (0.8666, 0.3628, 0.1685)
N (0.8893, 0.6784, 0.7444)
N (0.8893, 0.8216, 0.2444)
N (0.9185, 0.1746, 0.1983)
N (0.9185, 0.3254, 0.6983)

The most stable arrangement is entry iii, and the next structure is 11.6 kJ/mol of atoms less stable.

Entry i
KC2N3: relaxed, PBE-GGA.

Results
* SG: No. 14

a = 5.4557 Å, b = 19.3587 Å, c = 6.5789 Å
α = 90.00°, β = 123.90°, γ = 90.00°
Atoms (fractional coordinates):
K (0.2307, 0.1332, 0.1151)
K (0.2307, 0.3668, 0.6151)
K (0.7693, 0.6332, 0.3849)
K (0.7693, 0.8668, 0.8849)
C (0.0258, 0.1289, 0.6165)
C (0.0258, 0.3711, 0.1165)
C (0.2033, 0.6885, 0.2896)
C (0.2033, 0.8115, 0.7896)
C (0.7967, 0.1885, 0.2104)
C (0.7967, 0.3115, 0.7104)
C (0.9742, 0.6289, 0.8835)
C (0.9742, 0.8711, 0.3835)
N (0.0819, 0.6592, 0.0811)
N (0.0819, 0.8408, 0.5811)
N (0.3300, 0.7106, 0.4952)
N (0.3300, 0.7894, 0.9952)
N (0.4110, 0.5162, 0.4950)
N (0.4110, 0.9838, 0.9950)
N (0.5890, 0.0162, 0.0050)
N (0.5890, 0.4838, 0.5050)
N (0.6700, 0.2106, 0.0048)
N (0.6700, 0.2894, 0.5048)
N (0.9181, 0.1592, 0.4189)
N (0.9181, 0.3408, 0.9189)

Entry ii
KC2N3: relaxed, PBE-GGA.

Results
* SG: No. 62

a = 8.5539 Å, b = 4.0344 Å, c = 12.7368 Å
α = 90.00°, β = 90.00°, γ = 90.00°
Atoms (fractional coordinates):
K (0.1245, 0.2500, 0.1305)
K (0.3755, 0.7500, 0.6305)
K (0.6245, 0.2500, 0.3695)
K (0.8755, 0.7500, 0.8695)
C (0.0115, 0.2500, 0.6278)
C (0.2387, 0.2500, 0.8736)
C (0.2613, 0.7500, 0.3736)
C (0.4885, 0.7500, 0.1278)
C (0.5115, 0.2500, 0.8722)
C (0.7387, 0.2500, 0.6264)
C (0.7613, 0.7500, 0.1264)
C (0.9885, 0.7500, 0.3722)
N (0.1076, 0.2500, 0.9040)
N (0.1258, 0.7500, 0.3282)
N (0.1450, 0.2500, 0.6036)
N (0.3550, 0.7500, 0.1036)
N (0.3742, 0.2500, 0.8282)
N (0.3924, 0.7500, 0.4040)
N (0.6076, 0.2500, 0.5960)
N (0.6258, 0.7500, 0.1718)
N (0.6450, 0.2500, 0.8964)
N (0.8550, 0.7500, 0.3964)
N (0.8742, 0.2500, 0.6718)
N (0.8924, 0.7500, 0.0960)

The most stable arrangement is entry ii, and the next structure is 58.6 kJ/mol of atoms less stable.

Entry i
K3ReC4N4O2: relaxed, PBE-GGA.

Results
* SG: No. 2

a = 6.4707 Å, b = 7.0390 Å, c = 7.5740 Å
α = 106.81°, β = 110.86°, γ = 105.25°
Atoms (fractional coordinates):
K (0.0000, 0.0000, 0.0000)
K (0.4579, 0.6653, 0.3003)
K (0.5421, 0.3347, 0.6997)
Re (0.0000, 0.5000, 0.5000)
C (0.1007, 0.4017, 0.7469)
C (0.3239, 0.7903, 0.6684)
C (0.6761, 0.2097, 0.3316)
C (0.8993, 0.5983, 0.2531)
N (0.1544, 0.3430, 0.8807)
N (0.4935, 0.0551, 0.2542)
N (0.5065, 0.9449, 0.7458)
N (0.8456, 0.6570, 0.1193)
O (0.1563, 0.3638, 0.3905)
O (0.8437, 0.6362, 0.6095)

Entry ii
K3ReC4N4O2: relaxed, PBE-GGA.

Results
* SG: No. 2

a = 6.8214 Å, b = 7.0716 Å, c = 8.6245 Å
α = 81.38°, β = 79.11°, γ = 63.54°
Atoms (fractional coordinates):
K (0.0000, 0.0000, 0.0000)
K (0.3429, 0.3795, 0.4166)
K (0.6571, 0.6205, 0.5834)
Re (0.0000, 0.0000, 0.5000)
C (0.0826, 0.1569, 0.6488)
C (0.1863, 0.0875, 0.2995)
C (0.8137, 0.9125, 0.7005)
C (0.9174, 0.8431, 0.3512)
N (0.1120, 0.2564, 0.7326)
N (0.2890, 0.1391, 0.1904)
N (0.7110, 0.8609, 0.8096)
N (0.8880, 0.7436, 0.2674)
O (0.2408, 0.7553, 0.5335)
O (0.7592, 0.2447, 0.4665)

The most stable arrangement is entry i, and the next structure is 8.3 kJ/mol of atoms less stable.

Entry i
KCSN: relaxed, PBE-GGA.

Results
* SG: No. 57

a = 6.5156 Å, b = 11.1390 Å, c = 6.4798 Å
α = 90.00°, β = 90.00°, γ = 90.00°
Atoms (fractional coordinates):
K (0.2278, 0.1131, 0.2500)
K (0.2278, 0.3869, 0.7500)
K (0.7722, 0.6131, 0.2500)
K (0.7722, 0.8869, 0.7500)
C (0.2516, 0.5146, 0.2500)
C (0.2516, 0.9854, 0.7500)
C (0.7484, 0.0146, 0.2500)
C (0.7484, 0.4854, 0.7500)
S (0.0995, 0.1041, 0.7500)
S (0.0995, 0.3959, 0.2500)
S (0.9005, 0.6041, 0.7500)
S (0.9005, 0.8959, 0.2500)
N (0.3544, 0.6027, 0.2500)
N (0.3544, 0.8973, 0.7500)
N (0.6456, 0.1027, 0.2500)
N (0.6456, 0.3973, 0.7500)

Entry ii
KCSN: relaxed, PBE-GGA.

Results
* SG: No. 46

a = 7.9105 Å, b = 6.7590 Å, c = 6.7508 Å
α = 90.00°, β = 90.00°, γ = 90.00°
Atoms (fractional coordinates):
K (0.0000, 0.0000, 0.0000)
K (0.0000, 0.5000, 0.5000)
K (0.5000, 0.0000, 0.0000)
K (0.5000, 0.5000, 0.5000)
C (0.2500, 0.0228, 0.5230)
C (0.2500, 0.4772, 0.0230)
C (0.7500, 0.5228, 0.0230)
C (0.7500, 0.9772, 0.5230)
S (0.2500, 0.6496, 0.8514)
S (0.2500, 0.8504, 0.3514)
S (0.7500, 0.1496, 0.3514)
S (0.7500, 0.3504, 0.8514)
N (0.2500, 0.1456, 0.6487)
N (0.2500, 0.3544, 0.1487)
N (0.7500, 0.6456, 0.1487)
N (0.7500, 0.8544, 0.6487)

Entry iii
KCSN: relaxed, PBE-GGA.

Results
* SG: No. 57

a = 6.8499 Å, b = 6.7033 Å, c = 7.7665 Å
α = 90.00°, β = 90.00°, γ = 90.00°
Atoms (fractional coordinates):
K (0.1988, 0.2500, 0.0000)
K (0.1988, 0.2500, 0.5000)
K (0.8012, 0.7500, 0.0000)
K (0.8012, 0.7500, 0.5000)
C (0.2317, 0.7128, 0.2500)
C (0.2317, 0.7872, 0.7500)
C (0.7683, 0.2128, 0.2500)
C (0.7683, 0.2872, 0.7500)
S (0.3952, 0.6103, 0.7500)
S (0.3952, 0.8897, 0.2500)
S (0.6048, 0.1103, 0.7500)
S (0.6048, 0.3897, 0.2500)
N (0.1117, 0.5838, 0.2500)
N (0.1117, 0.9162, 0.7500)
N (0.8883, 0.0838, 0.2500)
N (0.8883, 0.4162, 0.7500)

The most stable arrangement is entry iii, and the next structure is 1.9 kJ/mol of atoms less stable.